Here is a geometry-optimized Mg4Zn7 structure from the Materials Project database. Energies are from PBE-GGA.

```
Mg4Zn7
1.0
5.287 0.000 0.000
-2.643 12.883 0.000
-0.007 -3.078 13.802
Mg Zn
20 35
Cartesian
0.000 0.000 0.000 Mg
-0.018 -1.371 7.958 Mg
0.002 0.638 3.074 Mg
0.011 1.798 8.402 Mg
-0.016 3.112 5.773 Mg
-0.013 4.051 3.146 Mg
-0.021 5.373 0.524 Mg
-0.015 6.495 5.902 Mg
-0.012 8.518 0.983 Mg
-0.017 7.185 8.956 Mg
0.003 9.167 4.136 Mg
-0.016 10.350 9.323 Mg
2.633 -1.836 12.388 Mg
2.634 2.223 3.812 Mg
2.624 1.300 12.779 Mg
2.644 2.798 9.954 Mg
2.636 4.925 5.090 Mg
2.645 5.931 10.341 Mg
2.623 6.620 13.421 Mg
2.649 10.856 4.823 Mg
-1.305 4.593 7.855 Zn
-0.013 -2.199 10.915 Zn
-1.361 4.057 12.352 Zn
-1.263 6.660 3.065 Zn
-0.013 -0.247 12.655 Zn
-1.324 9.031 6.891 Zn
-1.334 8.489 11.384 Zn
-0.005 2.038 11.351 Zn
-1.344 11.020 2.037 Zn
0.007 4.338 10.076 Zn
1.245 0.519 5.877 Zn
-0.023 6.267 11.837 Zn
1.340 0.009 10.361 Zn
1.308 2.556 1.064 Zn
0.011 8.204 13.607 Zn
-0.015 11.174 6.395 Zn
1.316 4.605 7.873 Zn
2.642 -0.680 3.977 Zn
1.342 4.064 12.364 Zn
1.254 6.636 3.074 Zn
2.645 0.374 1.526 Zn
2.653 0.228 8.171 Zn
1.265 9.008 6.896 Zn
2.625 2.558 6.918 Zn
1.311 8.461 11.363 Zn
2.636 4.606 2.002 Zn
1.348 11.015 2.066 Zn
2.635 6.934 0.765 Zn
2.644 6.776 7.420 Zn
4.016 0.514 5.890 Zn
3.929 0.003 10.376 Zn
2.623 7.843 4.971 Zn
3.976 2.546 1.072 Zn
2.643 8.868 2.537 Zn
2.620 8.759 9.136 Zn
```

Summary:
- V: 940.0 Å³/cell
- E_form: -0.13 eV per atom
- Total moment: 0.000 μB per atom


Here is a geometry-optimized RbAgC2 structure from the Materials Project database. Energies are from PBE-GGA.

```
RbAgC2
1.0
4.555 0.000 0.000
0.000 4.555 0.000
0.000 0.000 5.341
Rb Ag C
1 1 2
Cartesian
0.000 0.000 0.000 Rb
2.277 2.277 2.671 Ag
2.277 2.277 0.626 C
2.277 2.277 4.715 C
```

Summary:
- V: 110.8 Å³/cell
- E_form: 0.36 eV per atom
- Total moment: 0.000 μB per atom


Here is a geometry-optimized Na3Nb12O31 structure from the Materials Project database. Energies are from PBE-GGA.

```
Na3Nb12O31
1.0
17.896 0.000 0.000
0.000 3.958 0.000
-0.010 0.000 17.983
Na Nb O
6 24 62
Cartesian
0.000 0.000 0.000 Na
1.177 0.165 4.744 Na
4.282 0.159 10.370 Na
8.943 0.011 8.992 Na
13.604 0.159 7.614 Na
16.710 0.165 13.239 Na
1.082 2.107 11.507 Nb
1.219 1.886 15.331 Nb
2.353 1.918 1.217 Nb
2.497 2.065 7.916 Nb
4.257 1.896 4.469 Nb
4.468 2.158 16.611 Nb
4.495 1.813 13.253 Nb
6.326 1.889 7.767 Nb
6.448 2.166 1.255 Nb
7.602 2.140 4.515 Nb
7.686 2.044 11.340 Nb
7.688 2.165 15.459 Nb
10.200 2.044 6.643 Nb
10.199 2.165 2.525 Nb
10.284 2.140 13.468 Nb
11.438 2.166 16.729 Nb
11.560 1.889 10.216 Nb
13.391 1.813 4.730 Nb
13.418 2.158 1.372 Nb
13.629 1.896 13.514 Nb
15.389 2.065 10.067 Nb
15.534 1.918 16.766 Nb
16.667 1.886 2.652 Nb
16.805 2.107 6.476 Nb
0.432 2.015 1.438 O
0.469 1.962 13.605 O
0.772 1.922 7.063 O
0.960 3.945 11.722 O
1.135 0.017 15.538 O
1.862 1.918 9.735 O
2.348 0.043 1.311 O
2.438 2.028 17.234 O
2.720 3.905 7.920 O
2.891 2.045 3.177 O
2.986 1.962 12.100 O
3.123 1.822 5.935 O
3.192 2.014 14.903 O
4.503 0.018 16.645 O
4.504 2.020 0.761 O
4.587 1.930 8.498 O
4.604 3.938 13.235 O
5.711 2.005 14.920 O
5.799 1.991 11.776 O
5.827 1.999 3.241 O
5.833 2.007 5.747 O
6.500 0.001 7.771 O
6.645 0.029 1.246 O
6.622 2.006 17.262 O
7.507 1.981 9.387 O
7.528 0.004 4.427 O
7.736 0.024 15.682 O
7.782 0.004 11.258 O
8.166 1.988 6.487 O
8.159 2.021 13.501 O
8.209 1.995 2.376 O
9.677 1.995 15.607 O
9.720 1.988 11.496 O
9.728 2.021 4.482 O
10.104 0.004 6.726 O
10.150 0.024 2.301 O
10.359 0.004 13.556 O
10.379 1.981 8.596 O
11.242 0.029 16.737 O
11.264 2.006 0.721 O
11.386 0.001 10.213 O
12.059 1.999 14.742 O
12.053 2.007 12.237 O
12.087 1.991 6.208 O
12.176 2.005 3.063 O
13.283 3.938 4.748 O
13.299 1.930 9.485 O
13.383 0.018 1.339 O
13.382 2.020 17.222 O
14.695 2.014 3.081 O
14.763 1.822 12.048 O
14.900 1.962 5.884 O
14.995 2.045 14.807 O
15.166 3.905 10.064 O
15.448 2.028 0.750 O
15.538 0.043 16.672 O
16.024 1.918 8.248 O
16.751 0.017 2.445 O
16.926 3.945 6.261 O
17.114 1.922 10.920 O
17.417 1.962 4.379 O
17.455 2.015 16.545 O
```

Summary:
- V: 1273.7 Å³/cell
- E_form: -2.91 eV per atom
- Total moment: 0.000 μB per atom


Here is a geometry-optimized KZr4BiO12 structure from the Materials Project database. Energies are from PBE-GGA.

```
KZr4BiO12
1.0
8.422 0.000 0.000
0.000 4.085 4.032
0.000 -4.085 4.032
K Zr Bi O
1 4 1 12
Cartesian
0.000 0.000 0.000 K
2.065 -1.961 5.814 Zr
2.065 1.961 5.814 Zr
6.358 -1.961 5.814 Zr
6.358 1.961 5.814 Zr
4.211 0.000 3.415 Bi
0.000 -1.807 5.816 O
0.000 1.807 5.816 O
2.046 -2.493 3.821 O
2.046 2.493 3.821 O
2.227 0.000 2.271 O
2.786 0.000 5.165 O
4.211 -1.777 2.247 O
4.211 1.777 2.247 O
5.637 0.000 5.165 O
6.195 0.000 2.271 O
6.377 -2.493 3.821 O
6.377 2.493 3.821 O
```

Summary:
- V: 277.4 Å³/cell
- E_form: -2.73 eV per atom
- Total moment: 0.111 μB per atom


Here is a geometry-optimized BaSrI4 structure from the Materials Project database. Energies are from PBE-GGA.

```
BaSrI4
1.0
8.807 0.000 0.000
0.000 8.240 0.000
-5.618 0.000 17.142
Ba Sr I
4 4 16
Cartesian
1.063 0.417 2.651 Ba
-1.746 3.703 11.222 Ba
4.934 4.537 5.920 Ba
2.125 7.822 14.491 Ba
-2.377 1.297 15.384 Sr
0.432 2.823 6.813 Sr
2.756 5.416 10.329 Sr
5.565 6.943 1.758 Sr
-3.945 1.245 12.544 I
-1.136 2.875 3.973 I
-5.252 1.980 16.690 I
-2.443 2.140 8.119 I
3.002 5.641 3.131 I
0.193 6.719 11.702 I
1.785 5.749 7.194 I
-1.024 6.611 15.765 I
4.213 1.629 1.377 I
1.404 2.491 9.948 I
2.996 1.521 5.440 I
0.187 2.599 14.011 I
5.632 6.100 9.023 I
8.441 6.259 0.452 I
4.325 5.365 13.169 I
7.134 6.995 4.598 I
```

Summary:
- V: 1243.9 Å³/cell
- E_form: -1.93 eV per atom
- Total moment: 0.001 μB per atom


Here is a geometry-optimized Mg3Zn structure from the Materials Project database. Energies are from PBE-GGA.

```
Mg3Zn
1.0
-2.228 2.228 4.117
2.228 -2.228 4.117
2.228 2.228 -4.117
Mg Zn
3 1
Cartesian
0.000 0.000 0.000 Mg
2.228 0.000 2.058 Mg
0.000 2.228 2.058 Mg
0.000 0.000 4.117 Zn
```

Summary:
- V: 81.7 Å³/cell
- E_form: -0.01 eV per atom


Here is a geometry-optimized Ba6MgIr6O18 structure from the Materials Project database. Energies are from PBE-GGA.

```
Ba6MgIr6O18
1.0
5.682 0.000 0.000
2.836 5.060 0.000
0.063 1.125 15.103
Ba Mg Ir O
6 1 6 18
Cartesian
0.000 0.000 0.000 Ba
2.809 5.177 4.502 Ba
2.829 1.680 2.070 Ba
2.842 1.899 9.602 Ba
5.751 4.717 12.824 Ba
5.654 3.430 7.022 Ba
5.671 3.390 10.405 Mg
2.870 5.814 11.095 Ir
2.820 5.163 8.208 Ir
2.893 2.859 13.402 Ir
2.809 1.753 5.896 Ir
5.667 3.316 0.791 Ir
5.654 3.431 3.602 Ir
1.425 2.838 4.911 O
1.502 3.419 14.834 O
1.387 2.310 11.879 O
2.911 4.797 12.804 O
2.775 3.211 7.430 O
1.380 0.597 6.785 O
4.139 4.651 9.823 O
4.381 4.098 2.155 O
4.189 2.879 4.924 O
2.900 1.160 14.798 O
2.843 0.332 4.392 O
4.320 3.390 14.808 O
4.371 2.310 11.865 O
4.233 0.634 6.827 O
5.659 1.868 2.267 O
6.944 4.099 2.163 O
7.217 4.671 9.878 O
5.692 1.842 9.283 O
```

Summary:
- Energy above the most stable polymorph in this dataset: 62.0 meV/atom
- V: 434.2 Å³/cell
- E_form: -1.91 eV per atom
- Total moment: 0.036 μB per atom


Here is a geometry-optimized CdSeO3 structure from the Materials Project database. Energies are from PBE-GGA.

```
CdSeO3
1.0
6.424 0.000 0.000
0.000 8.316 0.000
0.000 0.000 5.378
Cd Se O
4 4 12
Cartesian
0.000 0.000 0.000 Cd
0.000 4.158 0.000 Cd
3.212 0.000 2.689 Cd
3.212 4.158 2.689 Cd
0.205 2.079 2.600 Se
3.008 6.237 5.289 Se
3.417 2.079 0.088 Se
6.220 6.237 2.777 Se
0.593 2.079 4.293 O
1.132 0.732 1.979 O
1.132 3.427 1.979 O
2.080 4.890 4.667 O
2.080 7.585 4.667 O
2.619 6.237 1.604 O
3.805 2.079 3.774 O
4.345 0.732 0.710 O
4.345 3.427 0.710 O
5.292 4.890 3.399 O
5.292 7.585 3.399 O
5.831 6.237 1.085 O
```

Summary:
- V: 287.3 Å³/cell
- E_form: -1.41 eV per atom